The following is a DFT calculation (r2SCAN) of a geometry-optimized DyGa2Pd structure.

Cell: 5.506 5.506 6.551 Å, 90.00 90.00 132.80°
Element x y z (fractional)
Dy (0.089, 0.911, 0.750)
Dy (0.911, 0.089, 0.250)
Ga (0.373, 0.627, 0.555)
Ga (0.373, 0.627, 0.945)
Ga (0.627, 0.373, 0.055)
Ga (0.627, 0.373, 0.445)
Pd (0.200, 0.800, 0.250)
Pd (0.800, 0.200, 0.750)

**Formation energy from the elements**: -0.863 eV per atom
**E_tot**: -20.32 eV per atom
**Crystal system**: orthorhombic